(1)
K2MoI4O14: relaxed, PBE with a Hubbard U.

Computed properties:
Final energy: -0.18012 Ha/atom
Total magnetic moment: 0.0 μB/cell
Calculated volume: 17.29 Å³ per atom

Unit cell a=7.295 b=7.295 c=17.819 alpha=100.64 beta=100.64 gamma=51.51
Positions (direct):
K 0.179 0.183 0.462
K 0.183 0.179 0.962
K 0.817 0.821 0.038
K 0.821 0.817 0.538
Mo 0.110 0.890 0.250
Mo 0.890 0.110 0.750
I 0.273 0.304 0.680
I 0.304 0.273 0.180
I 0.381 0.548 0.410
I 0.452 0.619 0.090
I 0.548 0.381 0.910
I 0.619 0.452 0.590
I 0.696 0.727 0.820
I 0.727 0.696 0.320
O 0.012 0.439 0.131
O 0.046 0.167 0.260
O 0.128 0.563 0.420
O 0.159 0.801 0.140
O 0.167 0.046 0.760
O 0.199 0.841 0.360
O 0.266 0.464 0.610
O 0.273 0.625 0.000
O 0.281 0.502 0.255
O 0.375 0.727 0.500
O 0.437 0.872 0.080
O 0.439 0.012 0.631
O 0.464 0.266 0.110
O 0.498 0.719 0.245
O 0.502 0.281 0.755
O 0.536 0.734 0.890
O 0.561 0.988 0.369
O 0.563 0.128 0.920
O 0.625 0.273 0.500
O 0.719 0.498 0.745
O 0.727 0.375 0.000
O 0.734 0.536 0.390
O 0.801 0.159 0.640
O 0.833 0.954 0.240
O 0.841 0.199 0.860
O 0.872 0.437 0.580
O 0.954 0.833 0.740
O 0.988 0.561 0.869

(2)
NaNiPO4: relaxed, PBE with a Hubbard U.

Computed properties:
Total magnetic moment: 0.0 μB/cell
Polymorph energy (0 for the lowest one): 0.22 eV per formula unit
Calculated volume: 10.90 Å³ per atom

Unit cell a=4.991 b=4.991 c=6.762 alpha=90.00 beta=90.00 gamma=115.09
Positions (direct):
Na 0.187 0.813 0.750
Na 0.813 0.187 0.250
Ni 0.500 0.500 0.000
Ni 0.500 0.500 0.500
P 0.163 0.837 0.250
P 0.837 0.163 0.750
O 0.186 0.290 0.750
O 0.268 0.732 0.065
O 0.268 0.732 0.435
O 0.290 0.186 0.250
O 0.710 0.814 0.750
O 0.732 0.268 0.565
O 0.732 0.268 0.935
O 0.814 0.710 0.250